Entry 1:
First-principles (GGA+U) data for Na3Ni2P2C2O14 after structural relaxation, as listed in the Materials Project database.

a = 6.550 Å, b = 8.924 Å, c = 10.363 Å
α = 91.48°, β = 90.10°, γ = 90.92°
Positions (direct):
O  0.751  0.130  0.280
O  0.243  0.465  0.036
O  0.759  0.423  0.183
O  0.750  0.937  0.912
O  0.250  0.063  0.088
O  0.938  0.677  0.146
O  0.938  0.678  0.643
O  0.062  0.323  0.854
O  0.748  0.174  0.988
O  0.259  0.867  0.220
O  0.755  0.538  0.457
O  0.748  0.428  0.680
O  0.757  0.934  0.412
O  0.252  0.572  0.320
O  0.566  0.668  0.151
O  0.563  0.676  0.634
O  0.241  0.577  0.817
O  0.757  0.535  0.964
O  0.245  0.462  0.543
O  0.249  0.870  0.720
O  0.749  0.174  0.487
O  0.434  0.332  0.849
O  0.062  0.322  0.357
O  0.741  0.133  0.780
O  0.243  0.066  0.588
O  0.251  0.826  0.513
O  0.252  0.826  0.012
O  0.437  0.324  0.366
C  0.746  0.075  0.894
C  0.248  0.927  0.607
C  0.752  0.073  0.393
C  0.254  0.925  0.106
Ni  0.746  0.344  0.356
Ni  0.745  0.347  0.862
Ni  0.255  0.653  0.138
Ni  0.254  0.656  0.644
Na  0.969  0.745  0.874
Na  0.485  0.252  0.627
Na  0.031  0.255  0.126
Na  0.010  0.253  0.630
Na  0.990  0.747  0.370
Na  0.515  0.748  0.373
P  0.750  0.577  0.607
P  0.250  0.423  0.393
P  0.751  0.573  0.111
P  0.249  0.427  0.889

Values from the calculation:
DFT formation energy = -45.737 eV per formula unit
offset from the most stable computed form = 3.3 meV/atom
total magnetic moment = 1.00 μB per formula unit

Entry 2:
First-principles (GGA+U) data for Ca3CoO6 after structural relaxation, as listed in the Materials Project database.

a = 6.371 Å, b = 9.197 Å, c = 8.832 Å
α = 89.99°, β = 90.00°, γ = 87.48°
Positions (direct):
O  0.078  0.603  0.329
O  0.223  0.996  0.572
O  0.068  0.325  0.399
O  0.567  0.828  0.601
O  0.433  0.172  0.399
O  0.933  0.172  0.101
O  0.422  0.397  0.829
O  0.067  0.828  0.899
O  0.276  0.501  0.572
O  0.568  0.325  0.101
O  0.578  0.603  0.171
O  0.576  0.105  0.673
O  0.724  0.499  0.428
O  0.277  0.004  0.072
O  0.932  0.675  0.601
O  0.224  0.499  0.072
O  0.424  0.895  0.327
O  0.776  0.501  0.928
O  0.777  0.004  0.428
O  0.723  0.996  0.928
O  0.432  0.675  0.899
O  0.924  0.895  0.173
O  0.076  0.105  0.827
O  0.922  0.397  0.671
Ca  0.398  0.424  0.324
Ca  0.249  0.250  0.646
Ca  0.106  0.073  0.323
Ca  0.898  0.424  0.176
Ca  0.102  0.576  0.824
Ca  0.749  0.250  0.854
Ca  0.602  0.576  0.676
Ca  0.394  0.927  0.823
Ca  0.606  0.073  0.177
Ca  0.251  0.750  0.146
Ca  0.894  0.927  0.677
Ca  0.751  0.750  0.354
Co  0.500  0.500  0.000
Co  0.000  0.000  0.000
Co  0.000  0.500  0.500
Co  0.500  0.000  0.500

Values from the calculation:
DFT formation energy = -22.989 eV per formula unit
offset from the most stable computed form = 1.4 meV/atom
total magnetic moment = 3.00 μB per formula unit

Entry 3:
First-principles (GGA+U) data for Li2Cr3Co2O12 after structural relaxation, as listed in the Materials Project database.

a = 9.150 Å, b = 9.176 Å, c = 12.643 Å
α = 90.00°, β = 90.00°, γ = 90.00°
Positions (direct):
Li  0.720  0.272  0.813
Li  0.220  0.272  0.687
Li  0.220  0.228  0.313
Li  0.720  0.228  0.187
Li  0.780  0.728  0.313
Li  0.280  0.728  0.187
Li  0.280  0.772  0.813
Li  0.780  0.772  0.687
O  0.173  0.023  0.277
O  0.418  0.607  0.841
O  0.082  0.393  0.341
O  0.144  0.568  0.521
O  0.646  0.835  0.411
O  0.435  0.868  0.564
O  0.854  0.335  0.089
O  0.418  0.893  0.159
O  0.673  0.477  0.777
O  0.565  0.132  0.436
O  0.827  0.523  0.277
O  0.856  0.068  0.521
O  0.667  0.731  0.176
O  0.435  0.632  0.436
O  0.673  0.023  0.223
O  0.354  0.165  0.589
O  0.582  0.107  0.841
O  0.833  0.269  0.676
O  0.827  0.977  0.723
O  0.644  0.568  0.979
O  0.856  0.432  0.479
O  0.065  0.132  0.064
O  0.354  0.335  0.411
O  0.333  0.269  0.824
O  0.935  0.868  0.936
O  0.667  0.769  0.824
O  0.146  0.835  0.089
O  0.082  0.107  0.659
O  0.327  0.977  0.777
O  0.935  0.632  0.064
O  0.582  0.393  0.159
O  0.833  0.231  0.324
O  0.918  0.893  0.341
O  0.146  0.665  0.911
O  0.644  0.932  0.021
O  0.327  0.523  0.223
O  0.167  0.769  0.676
O  0.918  0.607  0.659
O  0.065  0.368  0.936
O  0.356  0.068  0.979
O  0.167  0.731  0.324
O  0.646  0.665  0.589
O  0.565  0.368  0.564
O  0.356  0.432  0.021
O  0.854  0.165  0.911
O  0.333  0.231  0.176
O  0.173  0.477  0.723
O  0.144  0.932  0.479
Co  0.247  0.467  0.881
Co  0.247  0.033  0.119
Co  0.753  0.533  0.119
Co  0.253  0.533  0.381
Co  0.747  0.033  0.381
Co  0.253  0.967  0.619
Co  0.747  0.467  0.619
Co  0.753  0.967  0.881
Cr  0.399  0.394  0.143
Cr  0.399  0.106  0.857
Cr  0.899  0.394  0.357
Cr  0.601  0.606  0.857
Cr  0.101  0.606  0.643
Cr  0.963  0.250  0.000
Cr  0.463  0.250  0.500
Cr  0.899  0.106  0.643
Cr  0.601  0.894  0.143
Cr  0.101  0.894  0.357
Cr  0.537  0.750  0.500
Cr  0.037  0.750  0.000

Values from the calculation:
DFT formation energy = -33.449 eV per formula unit
total magnetic moment = 6.00 μB per formula unit

Entry 4:
First-principles (GGA+U) data for MgCrTeW2O12 after structural relaxation, as listed in the Materials Project database.

a = 5.373 Å, b = 10.770 Å, c = 9.427 Å
α = 28.72°, β = 52.62°, γ = 57.94°
Positions (direct):
Cr  0.981  0.004  0.990
O  0.846  0.699  0.248
O  0.673  0.215  0.823
O  0.224  0.617  0.639
O  0.260  0.112  0.625
O  0.180  0.282  0.748
O  0.790  0.398  0.344
O  0.146  0.789  0.768
O  0.616  0.678  0.888
O  0.357  0.314  0.132
O  0.869  0.189  0.251
O  0.740  0.914  0.337
O  0.330  0.784  0.164
W  0.511  0.003  0.482
W  0.466  0.510  0.498
Te  0.994  0.497  0.000
Mg  0.187  0.493  0.251

Values from the calculation:
DFT formation energy = -33.733 eV per formula unit
offset from the most stable computed form = 13.3 meV/atom
total magnetic moment = 2.00 μB per formula unit

Entry 5:
First-principles (GGA+U) data for Mn2V2PbO10 after structural relaxation, as listed in the Materials Project database.

a = 5.611 Å, b = 5.611 Å, c = 7.940 Å
α = 93.98°, β = 109.46°, γ = 115.50°
Positions (direct):
V  0.809  0.425  0.234
V  0.191  0.575  0.766
O  0.060  0.324  0.384
O  0.272  0.712  0.984
O  0.403  0.181  0.584
O  0.513  0.691  0.730
O  0.960  0.782  0.270
O  0.597  0.819  0.416
O  0.040  0.218  0.730
O  0.728  0.288  0.016
O  0.487  0.309  0.270
O  0.940  0.676  0.616
Mn  0.000  0.000  0.500
Mn  0.500  0.500  0.500
Pb  0.000  0.000  0.000

Values from the calculation:
DFT formation energy = -29.203 eV per formula unit
total magnetic moment = 6.00 μB per formula unit

Entry 6:
First-principles (GGA+U) data for Li9Co13O28 after structural relaxation, as listed in the Materials Project database.

a = 7.439 Å, b = 8.105 Å, c = 8.526 Å
α = 101.55°, β = 104.43°, γ = 105.24°
Positions (direct):
Co  0.356  0.075  0.937
Co  0.645  0.926  0.068
Co  0.071  0.211  0.789
Co  0.571  0.714  0.283
Co  0.928  0.788  0.208
Co  0.718  0.140  0.859
Co  0.782  0.348  0.637
Co  0.501  0.499  0.500
Co  0.432  0.292  0.721
Co  0.856  0.568  0.427
Co  0.283  0.858  0.141
Co  0.145  0.430  0.574
Co  0.218  0.648  0.361
O  0.799  0.123  0.663
O  0.504  0.273  0.526
O  0.293  0.086  0.126
O  0.344  0.300  0.913
O  0.298  0.629  0.167
O  0.366  0.845  0.944
O  0.946  0.560  0.238
O  0.164  0.205  0.595
O  0.983  0.244  0.974
O  0.655  0.699  0.089
O  0.901  0.004  0.201
O  0.874  0.350  0.447
O  0.130  0.662  0.558
O  0.199  0.877  0.338
O  0.095  0.993  0.788
O  0.635  0.153  0.052
O  0.442  0.064  0.741
O  0.778  0.585  0.625
O  0.698  0.909  0.863
O  0.008  0.749  0.024
O  0.555  0.930  0.255
O  0.225  0.414  0.374
O  0.423  0.517  0.698
O  0.586  0.490  0.308
O  0.706  0.368  0.835
O  0.053  0.437  0.765
O  0.494  0.729  0.481
O  0.846  0.796  0.408
Li  0.224  0.139  0.347
Li  0.711  0.645  0.868
Li  0.420  0.784  0.712
Li  0.004  0.499  0.003
Li  0.306  0.356  0.140
Li  0.779  0.872  0.636
Li  0.071  0.721  0.795
Li  0.144  0.939  0.561
Li  0.903  0.270  0.220

Values from the calculation:
DFT formation energy = -75.892 eV per formula unit
total magnetic moment = 8.00 μB per formula unit

Entry 7:
First-principles (GGA+U) data for SrLa2Mn2O7 after structural relaxation, as listed in the Materials Project database.

a = 3.940 Å, b = 3.940 Å, c = 20.521 Å
α = 90.00°, β = 90.00°, γ = 90.00°
Positions (direct):
O  0.500  0.500  0.707
O  0.500  0.000  0.902
O  0.500  0.500  0.496
O  0.500  0.000  0.091
O  0.000  0.000  0.207
O  0.000  0.500  0.902
O  0.000  0.500  0.591
O  0.500  0.500  0.303
O  0.000  0.000  0.803
O  0.000  0.000  0.996
O  0.000  0.500  0.402
O  0.500  0.000  0.591
O  0.500  0.000  0.402
O  0.000  0.500  0.091
La  0.500  0.500  0.004
La  0.000  0.000  0.318
La  0.500  0.500  0.818
La  0.000  0.000  0.504
Sr  0.500  0.500  0.183
Sr  0.000  0.000  0.683
Mn  0.500  0.500  0.599
Mn  0.000  0.000  0.902
Mn  0.000  0.000  0.099
Mn  0.500  0.500  0.402

Values from the calculation:
DFT formation energy = -35.991 eV per formula unit
offset from the most stable computed form = 0.0 meV/atom
total magnetic moment = 0.00 μB per formula unit

Entry 8:
First-principles (GGA+U) data for VZnF5 after structural relaxation, as listed in the Materials Project database.

a = 5.359 Å, b = 5.359 Å, c = 7.632 Å
α = 68.83°, β = 68.83°, γ = 71.76°
Positions (direct):
F  0.291  0.679  0.954
F  0.116  0.884  0.250
F  0.709  0.321  0.046
F  0.780  0.722  0.628
F  0.220  0.278  0.372
F  0.884  0.116  0.750
F  0.679  0.291  0.454
F  0.321  0.709  0.546
F  0.278  0.220  0.872
F  0.722  0.780  0.128
V  0.000  0.000  0.500
V  0.000  0.000  0.000
Zn  0.525  0.475  0.750
Zn  0.475  0.525  0.250

Values from the calculation:
DFT formation energy = -20.390 eV per formula unit
offset from the most stable computed form = 0.0 meV/atom
total magnetic moment = 2.00 μB per formula unit

Entry 9:
First-principles (GGA+U) data for V2Ge2O7 after structural relaxation, as listed in the Materials Project database.

a = 5.600 Å, b = 5.599 Å, c = 10.073 Å
α = 103.13°, β = 76.87°, γ = 82.69°
Positions (direct):
O  0.918  0.418  0.250
O  0.415  0.123  0.135
O  0.082  0.582  0.750
O  0.600  0.591  0.100
O  0.909  0.900  0.600
O  0.091  0.100  0.400
O  0.967  0.177  0.886
O  0.585  0.877  0.865
O  0.033  0.823  0.114
O  0.323  0.533  0.386
O  0.677  0.467  0.614
O  0.377  0.085  0.635
O  0.400  0.409  0.900
O  0.623  0.915  0.365
V  0.274  0.878  0.479
V  0.378  0.774  0.021
V  0.726  0.122  0.521
V  0.622  0.226  0.979
Ge  0.805  0.692  0.206
Ge  0.195  0.308  0.794
Ge  0.808  0.695  0.706
Ge  0.192  0.305  0.294

Values from the calculation:
DFT formation energy = -24.891 eV per formula unit
total magnetic moment = 0.00 μB per formula unit

Entry 10:
First-principles (GGA+U) data for Li9Mn2Co5O16 after structural relaxation, as listed in the Materials Project database.

a = 2.891 Å, b = 5.164 Å, c = 19.418 Å
α = 83.39°, β = 90.00°, γ = 90.00°
Positions (direct):
Mn  0.500  0.371  0.377
Mn  0.000  0.984  0.995
Co  0.000  0.754  0.756
Co  0.500  0.120  0.123
Co  0.500  0.646  0.627
Co  0.000  0.514  0.503
Co  0.000  0.245  0.248
O  0.500  0.427  0.190
O  0.500  0.557  0.808
O  0.000  0.811  0.568
O  0.500  0.674  0.447
O  0.000  0.016  0.803
O  0.000  0.202  0.434
O  0.000  0.714  0.942
O  0.500  0.350  0.560
O  0.000  0.966  0.181
O  0.000  0.265  0.064
O  0.500  0.929  0.689
O  0.000  0.536  0.317
O  0.500  0.172  0.944
O  0.500  0.064  0.306
O  0.500  0.822  0.055
O  0.000  0.481  0.689
Li  0.000  0.390  0.875
Li  0.500  0.248  0.750
Li  0.500  0.510  0.993
Li  0.000  0.125  0.628
Li  0.500  0.003  0.503
Li  0.000  0.617  0.125
Li  0.000  0.879  0.374
Li  0.500  0.746  0.250
Li  0.500  0.861  0.874

Values from the calculation:
DFT formation energy = -57.897 eV per formula unit
offset from the most stable computed form = 54.9 meV/atom
total magnetic moment = 14.00 μB per formula unit

Entry 11:
First-principles (GGA+U) data for SrSmNiO4 after structural relaxation, as listed in the Materials Project database.

a = 6.718 Å, b = 6.718 Å, c = 6.718 Å
α = 147.04°, β = 147.04°, γ = 47.30°
Positions (direct):
O  0.490  0.990  0.500
O  0.990  0.490  0.500
O  0.837  0.837  0.000
O  0.175  0.175  0.000
Sm  0.363  0.363  0.000
Ni  0.003  0.003  0.000
Sr  0.642  0.642  0.000

Values from the calculation:
DFT formation energy = -18.476 eV per formula unit
offset from the most stable computed form = 0.0 meV/atom
total magnetic moment = 1.00 μB per formula unit